(1)
## Sr7CaTi7MnO20 (GGA+U)

Data for crystalline Sr7CaTi7MnO20 at its relaxed geometry.

```
144
Lattice="11.2362 0.0000 0.0000 0.0011 11.3676 0.0000 5.6171 5.6792 15.7727" Properties=species:S:1:pos:R:3 pbc="T T T"
Sr 0.0000 0.0000 0.0000
Sr 5.6076 11.2403 15.7435
Sr 2.8496 2.5788 4.5069
Sr 2.8248 8.3050 4.4263
Sr 5.6264 5.4806 12.1972
Sr 5.6253 11.1884 12.1559
Sr 5.6390 5.5128 8.0643
Sr 5.6311 11.1870 8.0339
Sr 2.8249 8.3161 0.0080
Sr 8.4640 8.2590 15.6855
Sr 5.6171 5.6143 4.5007
Sr 5.6397 11.2937 4.4664
Sr 8.4020 14.0622 12.1705
Sr 8.4253 8.4059 12.1280
Sr 8.4277 8.4264 8.0568
Sr 11.2472 11.2941 15.7304
Sr 11.2573 16.9614 15.7632
Sr 8.3984 8.2879 4.4544
Sr 8.4430 2.6434 4.4870
Sr 11.2308 5.4968 12.1812
Sr 11.2523 11.1678 12.1919
Sr 11.2449 5.5468 8.0779
Sr 8.3867 8.3063 0.0210
Sr 14.0302 8.3213 15.7236
Sr 11.2155 5.5557 4.4888
Sr 11.2311 11.3786 4.4347
Sr 14.0675 14.1056 12.2200
Sr 14.0612 8.4276 12.1377
Ca 2.8954 14.1540 7.9243
Ca 2.9640 8.5038 7.9414
Ca 8.4022 14.1208 7.9430
Ca 11.3275 11.0722 7.8924
Ti 2.8208 5.5313 6.2831
Ti 2.8233 11.2066 6.1761
Ti 5.6184 14.0501 14.0010
Ti 5.6287 8.3965 13.9823
Ti 2.5911 5.0788 2.2265
Ti 5.4860 13.9462 10.0793
Ti 5.5665 8.3267 10.0787
Ti 8.4336 5.5095 14.0388
Ti 5.6481 2.7062 6.2054
Ti 5.6482 8.3884 6.1699
Ti 8.4426 11.2141 13.9567
Ti 8.3296 5.6559 10.1030
Ti 8.3263 11.3843 10.0586
Ti 8.4519 5.5121 6.2354
Ti 11.2509 14.0602 14.0505
Ti 11.2498 8.3754 14.0070
Ti 8.4821 11.2225 6.2017
Ti 8.1579 5.2305 2.2275
Ti 11.1337 13.7917 10.0412
Ti 11.1964 8.2319 10.0856
Ti 11.2812 2.7126 6.2804
Ti 14.0622 5.5399 14.0556
Ti 11.2737 8.3791 6.2316
Ti 14.0570 11.2204 13.9847
Ti 11.0122 2.9251 2.2295
Ti 11.0061 8.7652 2.2373
Ti 13.9593 11.3633 10.0388
Ti 14.0549 5.7116 10.0951
Mn 2.6928 10.8792 2.2260
Mn 5.4492 8.7286 2.2304
Mn 5.4635 2.9667 2.2243
Mn 8.2350 11.0479 2.2450
O 3.7902 12.9677 9.9634
O 3.9795 7.1915 9.9683
O 5.5326 14.1707 12.0243
O 5.5677 8.5592 11.9885
O 2.8677 11.4718 4.1784
O 2.9332 5.7818 3.9146
O 4.2134 12.6564 6.3825
O 4.2066 6.9642 6.3354
O 7.0125 15.4764 14.1520
O 7.0372 9.8076 14.1034
O 7.0221 12.6244 13.9661
O 4.2193 4.1040 6.0811
O 4.2196 9.7772 6.0726
O 7.0339 6.9493 13.8965
O 3.3680 3.3981 2.2182
O 3.4096 8.9635 2.2222
O 5.5820 14.2963 8.2017
O 5.5823 8.6012 8.1765
O 2.9049 5.7702 0.5286
O 2.8907 11.4447 0.2641
O 6.7593 12.5312 10.0984
O 6.8972 6.9245 10.0860
O 8.4207 5.2839 11.9802
O 5.6785 2.4630 4.1749
O 8.4671 11.1141 11.9814
O 5.7376 8.1448 4.2049
O 7.0511 6.9479 6.3590
O 9.8361 9.7932 14.1370
O 7.0849 12.6825 6.4199
O 9.8443 15.4603 14.0813
O 7.0359 4.1071 6.1072
O 7.0545 9.8211 6.1142
O 9.8458 12.6480 13.9337
O 9.8422 6.9572 13.8530
O 6.2218 10.6523 2.2414
O 8.4440 5.2086 8.2437
O 6.3117 4.9222 2.2363
O 8.5058 10.9666 8.2272
O 5.7009 2.4795 0.2729
O 5.7420 8.1999 0.2319
O 9.4308 13.0686 9.9544
O 9.6914 7.0406 10.0651
O 11.2153 8.6088 11.9688
O 8.5002 11.5121 4.2513
O 8.4571 5.6812 4.0834
O 11.2640 14.1984 11.9033
O 9.8997 12.6481 6.4469
O 9.8595 6.9483 6.2908
O 12.6415 9.8034 14.0776
O 9.8427 4.0830 6.1413
O 12.6546 15.4911 14.0391
O 12.6475 12.6364 13.8949
O 9.8733 9.8031 6.0447
O 12.6557 6.9594 13.8247
O 8.4149 5.6854 0.3819
O 8.4193 0.0848 0.2187
O 11.2603 8.6353 8.2038
O 9.1660 3.5793 2.2232
O 9.2181 9.1558 2.2447
O 11.4226 3.0244 8.2623
O 12.1840 12.1897 9.9609
O 12.4535 6.7491 10.1125
O 11.2500 2.5513 4.1138
O 14.0547 11.1133 11.9613
O 14.1333 5.3221 11.9513
O 11.3334 8.0285 3.9255
O 12.6743 12.6346 6.3848
O 15.4601 15.4714 14.1918
O 12.6707 6.9571 6.3148
O 15.4476 9.8005 14.1134
O 15.4469 12.6411 14.0026
O 12.6389 9.8111 6.0421
O 15.4584 6.9610 13.9135
O 12.6800 4.1208 6.0299
O 11.8447 10.3828 2.2309
O 14.0206 5.2107 8.2203
O 14.0334 10.8737 8.1890
O 11.3217 8.0396 0.5520
O 11.2776 2.5742 0.3645
O 11.9971 4.7183 2.2416
```

Values from the calculation:
Crystal system: triclinic

---

(2)
## Sr4Ca4TiMn7O24 (GGA+U)

Data for crystalline Sr4Ca4TiMn7O24 at its relaxed geometry.

```
40
Lattice="5.4459 -5.4455 0.0000 5.4459 5.4455 0.0000 -0.0035 0.0000 7.7035" Properties=species:S:1:pos:R:3 pbc="T T T"
Sr 0.0000 0.0000 0.0000
Sr 8.1827 -2.7037 7.7029
Sr 8.1827 2.7037 7.7029
Sr 5.4823 0.0000 3.8223
Ca 8.1873 -2.6971 3.8189
Ca 8.1873 2.6971 3.8189
Ca 5.4894 0.0000 0.0025
Ca 10.8816 0.0000 3.8190
Ti 2.7388 0.0000 5.7428
Mn 2.7412 0.0000 1.9139
Mn 5.4632 2.7219 1.9174
Mn 5.4618 2.7219 5.7536
Mn 5.4632 -2.7219 1.9174
Mn 5.4618 -2.7219 5.7536
Mn 8.1857 0.0000 1.9179
Mn 8.1837 0.0000 5.7556
O 1.3800 1.3612 1.9640
O 4.1011 4.0851 1.9622
O 4.1009 4.0834 5.7115
O 5.4631 2.7548 3.8380
O 2.7232 0.0000 3.8165
O 1.3800 -1.3612 1.9640
O 4.1014 1.3615 1.9171
O 4.1145 1.3762 5.7527
O 6.8089 4.0694 5.7280
O 2.7600 0.0000 0.0063
O 5.4605 2.6901 7.6885
O 4.1014 -1.3615 1.9171
O 6.8260 1.3606 1.9183
O 6.8227 1.3622 5.7575
O 4.1145 -1.3762 5.7527
O 5.4605 -2.6901 7.6885
O 8.1526 0.0000 7.6900
O 4.1011 -4.0851 1.9622
O 4.1009 -4.0834 5.7115
O 6.8260 -1.3606 1.9183
O 6.8227 -1.3622 5.7575
O 5.4631 -2.7548 3.8380
O 8.2161 0.0000 3.8354
O 6.8089 -4.0694 5.7280
```

Values from the calculation:
Crystal system: monoclinic

---

(3)
## Sr4Ca4TiMn7O20 (GGA+U)

Data for crystalline Sr4Ca4TiMn7O20 at its relaxed geometry.

```
144
Lattice="11.0431 0.0000 0.0000 -0.0158 11.2333 0.0000 -5.4928 -5.6000 15.7015" Properties=species:S:1:pos:R:3 pbc="T T T"
Sr 0.0000 0.0000 0.0000
Sr -2.7474 -2.7927 7.8659
Sr -0.0101 -0.1229 3.4801
Sr -2.7529 -2.8897 15.6904
Sr 0.0084 5.4728 7.8432
Sr 2.7467 2.8327 3.4534
Sr 2.7331 8.4096 3.4718
Sr 0.0052 0.0215 15.6869
Sr 2.7582 2.8126 7.8858
Sr 0.0139 5.6285 15.6957
Sr 5.5216 5.5142 3.4396
Sr 5.5403 -0.1185 3.4776
Sr 2.7948 -2.9097 15.7012
Sr 5.5328 5.4893 7.8575
Sr 8.2805 2.8034 3.4756
Sr 8.2804 8.4260 3.4591
Ca 0.0034 5.6906 0.0734
Ca -2.7124 2.8850 7.9064
Ca -0.0110 5.4694 3.3753
Ca -2.7173 -3.0005 11.3211
Ca -2.6944 2.6808 11.3386
Ca 2.7289 8.2508 0.0667
Ca 0.0839 -0.1117 7.8979
Ca 0.0178 5.6645 11.2878
Ca 0.0851 0.0799 11.3077
Ca 2.8055 -2.7469 7.8897
Ca 2.7450 2.6334 11.3231
Ca 2.8018 -2.9823 11.3091
Ca 5.5287 -0.1516 7.9294
Ca 8.2944 8.2598 0.0755
Ca 5.5202 0.0611 11.3163
Ca 5.5460 5.7022 11.3050
Ti -2.7475 -0.0215 9.6285
Ti 0.0181 -2.8475 9.5874
Ti 5.4978 -2.8428 9.6423
Ti 5.5207 2.7382 9.6764
Mn -0.0246 2.7606 1.7121
Mn -0.0395 8.3574 1.7248
Mn -2.7751 5.5620 9.6456
Mn -2.5746 -0.3434 13.4577
Mn 0.1621 2.4446 5.6832
Mn -2.5553 5.2278 13.5130
Mn 0.1843 8.0470 5.6755
Mn 2.7094 5.5840 1.7098
Mn 2.7488 -0.0684 1.7231
Mn -0.0108 2.7654 9.6320
Mn 0.2214 -2.5247 13.4324
Mn 2.9343 5.8979 5.6651
Mn 2.9593 0.2349 5.6814
Mn 0.2182 3.0871 13.5035
Mn 5.4847 8.3808 1.7252
Mn 5.5027 2.7520 1.7380
Mn 2.7569 -0.0622 9.6271
Mn 2.7501 5.5664 9.6411
Mn 5.6570 8.0765 5.6967
Mn 2.9913 5.2245 13.5031
Mn 3.0193 -0.3440 13.5229
Mn 5.7426 2.4199 5.7601
Mn 8.2663 -0.0753 1.7369
Mn 8.2690 5.5655 1.7231
Mn 5.7455 -2.4910 13.4720
Mn 5.7326 3.0485 13.5036
Mn 8.4660 0.2692 5.7460
Mn 8.5037 5.8478 5.6279
O -2.9244 0.3397 11.5715
O -2.9190 5.8943 11.8025
O -0.0551 8.6099 3.7619
O -0.0614 3.0213 3.8764
O -3.3044 -2.2588 13.3733
O -0.5796 6.1312 5.5710
O -3.2640 3.3905 13.4985
O -0.5529 0.5994 5.8025
O -1.4319 1.3068 9.4122
O 1.3321 4.2041 1.6115
O 1.3856 9.7240 1.5642
O -1.3768 6.9925 9.5079
O 1.3225 6.9453 1.8695
O -1.4339 4.2041 9.8124
O 1.3719 1.3604 1.8497
O -1.3987 -1.4174 9.8465
O -2.8636 0.2645 15.3630
O -0.0971 2.9889 7.4749
O -0.0983 -2.5201 7.6399
O -2.7800 5.7682 15.3193
O -0.0833 -3.1562 11.6376
O 2.6416 5.4022 3.8431
O -0.0917 2.4294 11.7518
O 2.7342 -0.2578 3.8508
O 2.1358 2.0498 5.6897
O -0.5391 -0.7085 13.3718
O -0.5545 4.9424 13.3761
O 2.2001 7.7355 5.8209
O 4.1010 9.7541 1.5758
O 4.1062 4.1909 1.6292
O 1.3755 7.0524 9.4597
O 1.3893 1.2800 9.4869
O 4.0910 6.9712 1.8149
O 4.1330 1.3257 1.8402
O 1.3652 -1.4631 9.8194
O 1.4081 4.1913 9.8262
O 2.6443 -0.3978 7.4273
O -0.0770 2.5964 15.3093
O 2.7047 5.2991 7.4308
O -0.0133 -3.0059 15.2367
O 2.6399 5.9191 11.7977
O 5.4549 8.5742 3.7929
O 2.7058 0.3004 11.7941
O 4.8677 6.1864 5.6743
O 5.4930 2.9175 3.9467
O 2.2219 -2.1956 13.3901
O 2.1962 3.3473 13.5001
O 4.9128 0.5652 5.8137
O 4.1053 6.9932 9.4531
O 6.9028 9.7340 1.5617
O 4.1674 1.2959 9.4435
O 6.9073 4.1548 1.6212
O 6.9039 1.3388 1.8269
O 6.9087 6.9887 1.7952
O 4.1279 -1.4490 9.8094
O 4.1660 4.1454 9.8355
O 5.4250 -2.5367 7.6252
O 2.7390 0.2056 15.3330
O 2.7403 5.7628 15.3022
O 5.4526 2.9893 7.5932
O 5.3812 -3.1633 11.6112
O 5.4465 2.3867 11.5951
O 8.2259 -0.2642 3.8374
O 8.2283 5.3637 3.8101
O 4.9143 4.9639 13.3788
O 7.6442 7.6093 5.7014
O 4.9711 -0.5780 13.4968
O 7.6926 2.1784 5.8080
O 6.8679 1.3643 9.3974
O 9.6151 9.7444 1.5533
O 6.8725 6.9944 9.5002
O 9.6801 4.2183 1.5980
O 6.8596 -1.4668 9.8333
O 9.6580 1.3353 1.8520
O 9.6635 6.9222 1.8637
O 6.8992 4.0981 9.8143
O 8.1243 -0.3383 7.6402
O 5.4219 2.4715 15.3962
O 8.2382 5.2544 7.4116
O 5.5175 -3.0407 15.3296
```

Values from the calculation:
Crystal system: triclinic

---

Number 1: ΔE_f -3.219 eV per atom, V 13.99 Å³ per atom. Number 2: ΔE_f -2.575 eV per atom, V 11.42 Å³ per atom. Number 3: ΔE_f -2.681 eV per atom, V 13.53 Å³ per atom.